# 1
# Ca2Fe7O11

A geometry-optimized Ca2Fe7O11 structure (PBE+U, the Materials Project database).

Computed properties:
* ρ: 4.94 g/cm³
* V: 435.4 Å³ per cell

a b c (Å): 10.022 3.059 14.432
angles (deg): 90.00 100.26 90.00
Space group C2/m (No. 12)
One atom of each set of equivalent atoms:
Ca1 0.079 0.000 0.224 x4
Fe1 0.000 0.500 0.000 x2
Fe2 0.124 0.500 0.451 x4
Fe3 0.139 0.000 0.647 x4
Fe4 0.208 0.000 0.901 x4
O1 0.000 0.000 0.500 x2
O2 0.006 0.500 0.671 x4
O3 0.062 0.500 0.878 x4
O4 0.151 0.000 0.044 x4
O5 0.247 0.500 0.587 x4
O6 0.248 0.000 0.773 x4

# 2
# CaFeO3

A geometry-optimized CaFeO3 structure (PBE+U, the Materials Project database).

Computed properties:
* ρ: 4.27 g/cm³
* V: 224.1 Å³ per cell

a b c (Å): 5.447 7.641 5.386
angles (deg): 90.00 90.00 90.00
Space group Pnma (No. 62)
One atom of each set of equivalent atoms:
Ca1 0.042 0.250 0.008 x4
Fe1 0.000 0.000 0.500 x4
O1 0.017 0.750 0.427 x4
O2 0.211 0.538 0.790 x8

# 3
# CaFe2O4

A geometry-optimized CaFe2O4 structure (PBE+U, the Materials Project database).

Computed properties:
* ρ: 4.07 g/cm³
* energy relative to the lowest polymorph listed for this composition: 41 meV per atom
* V: 528.3 Å³ per cell

a b c (Å): 6.2834 6.2834 15.4506
angles (deg): 90.00 90.00 120.00
Space group P3m1 (No. 156)
One atom of each set of equivalent atoms:
Ca1 0.0000 0.0000 0.0000 x1
Ca2 0.0000 0.0000 0.2426 x1
Ca3 0.3333 0.6667 0.3357 x1
Ca4 0.3333 0.6667 0.5838 x1
Ca5 0.3333 0.6667 0.9588 x1
Ca6 0.6667 0.3333 0.6685 x1
Fe1 0.0000 0.0000 0.6182 x1
Fe2 0.0055 0.5028 0.1260 x3
Fe3 0.1615 0.3230 0.7867 x3
Fe4 0.3349 0.1674 0.4563 x3
Fe5 0.6667 0.3333 0.2900 x1
Fe6 0.6667 0.3333 0.9093 x1
O1 0.0000 0.0000 0.3890 x1
O2 0.0000 0.0000 0.8542 x1
O3 0.0006 0.5003 0.8598 x3
O4 0.1439 0.2878 0.5337 x3
O5 0.1815 0.3631 0.0594 x3
O6 0.2815 0.1408 0.7099 x3
O7 0.3333 0.6667 0.1945 x1
O8 0.3333 0.6667 0.7293 x1
O9 0.3883 0.1942 0.2020 x3
O10 0.5241 0.0481 0.3813 x3
O11 0.6667 0.3333 0.0363 x1
O12 0.6667 0.3333 0.5249 x1

Number 1: DFT formation energy -185 kJ per mole of atoms. Number 2: DFT formation energy -215 kJ per mole of atoms. Number 3: DFT formation energy -206 kJ per mole of atoms.